The following is a PBE calculation of an optimized crystal structure of MgZnCo4S8, from Materials Project.

For the corrected total energy (MP2020 scheme), the calculation gives -5.43 eV/atom. Its energy relative to the lowest polymorph listed for this composition is 0 meV/atom. For the energy, the calculation gives -72.062 eV per formula unit.

It has space group R3m (No. 160, hexagonal axes), with a = 6.8779 Å, b = 6.8779 Å, c = 16.8282 Å, α = 90.00°, β = 90.00° and γ = 120.00°. Symmetry generates all atoms from Mg at (0.0000, 0.0000, 0.0000), Zn at (0.0000, 0.0000, 0.7508), Co at (0.0000, 0.0000, 0.3750), Co at (0.0012, 0.5006, 0.8755), S at (0.0000, 0.0000, 0.1437), S at (0.0000, 0.0000, 0.6092), S at (0.0433, 0.5216, 0.1308) and S at (0.1913, 0.3826, 0.9526).